# 1
! ZnH16C3N8O7, relaxed, DFT GGA-PBE; values from VASP
&SYSTEM
  ibrav = 0, nat = 70, ntyp = 5
/
ATOMIC_SPECIES
H 1.01 H.upf
C 12.01 C.upf
O 16.00 O.upf
N 14.01 N.upf
Zn 65.41 Zn.upf
CELL_PARAMETERS angstrom
-4.8434 -6.6292 0.0737
4.6693 -4.6891 -4.8600
4.3405 -8.0609 5.1989
ATOMIC_POSITIONS angstrom
H 1.6193 -8.7304 -4.7205
H 1.2260 -9.7355 1.4715
H 0.2996 -13.4726 -0.3109
H 4.6934 -12.9138 1.6027
H 4.3567 -16.5139 0.3063
H 0.6486 -9.2657 -0.0245
H 0.4019 -8.2042 -2.5795
H 2.1548 -2.9617 -2.3864
H 2.3999 -10.1612 -1.7380
H -1.8106 -9.5454 1.3861
H 1.4616 -11.4203 3.0844
H 5.1376 -8.4342 2.1020
H 6.1903 -14.1032 -0.3321
H -0.6153 -7.6180 0.9139
H 0.0698 -7.8600 2.4201
H 3.0565 -6.6219 -1.4679
H 1.3796 -5.2311 -2.3332
H 3.7136 -5.9084 -2.7093
H -1.2999 -11.1578 -0.1723
H 1.7524 -8.2333 0.8413
H 2.6862 -7.3560 3.6321
H 0.9202 -12.7417 -1.6364
H 0.7203 -13.4491 2.4176
H 1.5809 -3.1083 0.4803
H 5.5882 -10.8259 1.4215
H 3.5501 -8.3989 -2.7752
H 7.1906 -12.1826 0.4427
H -0.5840 -5.1281 1.3444
H 2.6947 -14.5742 1.8341
H 4.4768 -12.1508 3.1533
H -0.0887 -11.1569 2.9878
H 2.4706 -12.2554 0.0726
C 3.3189 -14.1169 -0.3062
C 3.9300 -10.1483 -0.3554
C 2.7249 -5.9471 1.0266
C -1.3603 -6.7542 -1.3366
C 3.4004 -10.2824 4.4013
C 0.2353 -10.2728 -2.4319
O 3.2350 -6.9301 0.3862
O 3.1901 -10.6703 0.5279
O 0.3125 -1.9767 -0.6270
O 4.4215 -13.7480 0.2232
O 3.1406 -15.2788 -0.8361
O 0.2713 -11.3909 -3.0730
O 2.9619 -6.4978 -2.4475
O -0.1095 -6.8702 -1.4858
O 5.1354 -9.7293 -0.1700
O 2.9311 -11.4651 4.2689
O -0.0405 -10.1850 -1.1876
O 2.1248 -6.0801 2.1581
O -1.9780 -6.7071 -0.2057
O 0.6974 -11.4327 2.4520
N 0.8389 -14.4197 2.7649
N 2.7816 -4.7076 0.4231
N 4.0647 -9.2887 -2.6332
N 5.0346 -17.1734 0.7173
N 2.2812 -13.2341 -0.2448
N 2.5071 -9.2367 4.2905
N 6.1099 -11.5065 1.9926
N 3.4129 -10.0836 -1.6509
N -2.5811 -10.2018 1.1667
N 0.9477 -8.8944 0.9320
N -0.2258 -8.3256 1.5535
N 2.2066 -14.8027 2.6998
N 0.5550 -9.1131 -3.0746
N 1.0942 -13.5040 -0.9641
N 5.1776 -12.5047 2.4632
N 7.6265 -12.5930 -0.4025
Zn 6.1036 -8.9570 -1.8693
Zn -4.0727 -6.5594 -0.3165
! ΔH_f (0 K): -0.699 eV per atom
! uncorrected energy: -5.835 eV per atom
! crystal system: monoclinic
! space group: Cc (9)


# 2
! ZnH7C3NO6, relaxed, DFT GGA-PBE; values from VASP
&SYSTEM
  ibrav = 0, nat = 36, ntyp = 5
/
ATOMIC_SPECIES
H 1.01 H.upf
O 16.00 O.upf
C 12.01 C.upf
N 14.01 N.upf
Zn 65.41 Zn.upf
CELL_PARAMETERS angstrom
-3.6766 -6.3681 0.0000
-3.7918 6.4346 0.0610
0.0669 -0.0386 -8.2598
ATOMIC_POSITIONS angstrom
H -6.7884 0.2681 -2.8076
H -3.4972 -5.6973 -6.9875
H -0.7756 -0.5789 -6.3852
H -2.1399 -3.7065 0.0000
H -6.5826 -0.4987 -5.9610
H -0.8655 0.4460 -2.2378
H -4.3286 0.0224 -4.1227
H -5.8222 -2.6363 -8.2162
H -5.2178 -3.7095 -4.0761
H -3.0970 0.0356 0.0174
H -3.8385 5.4348 -1.8136
H -6.9103 0.5187 -1.2113
H -1.4931 -2.6635 -4.1299
H -3.7752 -5.7170 -5.3912
O -3.0032 -3.7657 -4.9519
O -2.6423 0.7004 -3.2034
O -5.4739 -1.9102 -4.9954
O -5.4845 1.9123 -3.2469
O -4.4719 3.8375 -0.8177
O -2.6231 -0.7346 -4.9356
O -3.0495 3.7571 -3.2632
O -1.8422 -1.9262 -7.3811
O -4.7227 -0.7417 -7.3792
O -4.8144 0.7722 -0.8034
O -4.3256 -3.7554 -7.3954
O -2.0059 1.9351 -0.8196
C -3.2241 -0.0049 -4.0896
C -1.5870 -2.7487 0.0000
C -2.0465 -3.6219 -4.1299
C -4.2021 0.0323 0.0326
C -1.5959 2.7730 -8.2314
C -2.1171 3.6014 -4.1092
N -7.4058 0.0818 -2.0036
N -3.6278 -6.3448 -6.1952
Zn -3.6662 -2.1416 -6.1700
Zn -3.7465 2.1501 -2.0288
! ΔH_f (0 K): -1.090 eV per atom
! E above lowest polymorph: 1.0 kJ/mol of atoms
! uncorrected energy: -5.900 eV per atom
! crystal system: monoclinic
! space group: C2 (5)


# 3
! ZnH8C3N2O6, relaxed, DFT GGA-PBE; values from VASP
&SYSTEM
  ibrav = 0, nat = 80, ntyp = 5
/
ATOMIC_SPECIES
C 12.01 C.upf
H 1.01 H.upf
O 16.00 O.upf
Zn 65.41 Zn.upf
N 14.01 N.upf
CELL_PARAMETERS angstrom
0.0000 -7.8299 0.0000
-8.7882 0.0000 0.0000
0.0000 0.0000 -11.6752
ATOMIC_POSITIONS angstrom
C -4.1338 -3.4140 -7.4544
C -1.6519 -2.2687 -10.7137
C -2.7422 -6.1836 -4.8762
C -6.0460 -1.6462 -10.7137
C -7.1363 -5.5612 -4.8762
C -6.6771 -1.7488 -4.0688
C -2.1111 -6.0810 -9.9064
C -6.5052 -5.6638 -9.9064
C -0.2603 -7.3290 -1.6168
C -2.2830 -2.1661 -4.0688
C -4.6544 -4.4158 -1.6168
C -8.5279 -0.5009 -7.4544
H -5.1698 -6.9858 -6.4861
H -3.4817 -7.0290 -0.7384
H -7.8758 -4.7158 -0.7384
H -8.1055 -4.5786 -8.4243
H -0.6534 -4.9244 -2.2180
H -7.3082 -2.4712 -4.6152
H -5.3065 -0.8009 -6.5759
H -3.7406 -1.0095 -8.0556
H -2.0789 -1.8213 -9.7994
H -4.6410 -3.3129 -1.6491
H -5.6559 -0.1339 -1.0764
H -0.7757 -4.7590 -6.4861
H -4.1471 -4.5169 -7.4866
H -0.6827 -3.2513 -2.5868
H -3.6184 -0.8441 -0.6485
H -3.7114 -7.1662 -8.4243
H -3.1323 -7.6959 -6.9139
H -7.5264 -4.0488 -6.9139
H -6.7093 -6.0086 -3.9618
H -8.1347 -2.9055 -8.0556
H -8.5412 -7.2279 -7.4866
H -5.8740 -6.3861 -10.4528
H -1.4799 -5.3586 -10.4528
H -1.2618 -3.7810 -1.0764
H -5.0475 -6.8204 -2.2180
H -0.9124 -3.1141 -6.5759
H -6.4730 -2.0937 -9.7994
H -2.9141 -1.4437 -4.6152
H -5.0768 -0.6637 -2.5868
H -2.3152 -5.7362 -3.9618
H -8.0125 -3.0709 -0.6485
H -0.2469 -0.6020 -1.6491
O -5.4895 -2.0954 -3.7528
O -6.0228 -4.5258 -9.6238
O -3.2986 -5.7345 -9.5904
O -7.6927 -6.0103 -9.5904
O -8.3393 -1.1331 -8.5460
O -0.5937 -1.7691 -11.2042
O -7.1595 -0.6109 -3.7863
O -3.9452 -2.7818 -8.5460
O -4.8430 -5.0480 -2.7084
O -1.6287 -7.2190 -9.6238
O -0.4489 -6.6968 -2.7084
O -2.2576 -3.2700 -11.2240
O -0.0903 -6.7502 -0.4993
O -4.4844 -4.9946 -0.4993
O -2.1365 -7.1849 -5.3864
O -6.5306 -4.5598 -5.3864
O -8.1945 -6.0608 -5.3666
O -4.3038 -2.8353 -6.3369
O -8.6979 -1.0797 -6.3369
O -2.7654 -3.3040 -3.7863
O -3.8004 -5.6840 -5.3666
O -6.6517 -0.6449 -11.2240
O -1.0954 -1.8196 -3.7528
O -4.9878 -2.1459 -11.2042
Zn -4.6478 -3.9112 -4.5362
Zn -8.5345 -7.8261 -10.3737
Zn -0.2537 -0.0037 -4.5362
Zn -4.1404 -3.9186 -10.3737
N -0.8037 -3.9666 -7.1401
N -4.9406 -7.7886 -1.8248
N -3.5904 -0.0516 -1.3025
N -3.8476 -0.0413 -7.6624
N -5.1978 -7.7782 -7.1401
N -7.9845 -3.8633 -1.3025
N -0.5465 -3.9562 -1.8248
N -8.2417 -3.8737 -7.6624
! ΔH_f (0 K): -0.946 eV per atom
! uncorrected energy: -5.862 eV per atom
! crystal system: orthorhombic
! space group: Pna2_1 (33)


# 4
! ZnH6C2N4O4, relaxed, DFT GGA-PBE; values from VASP
&SYSTEM
  ibrav = 0, nat = 34, ntyp = 5
/
ATOMIC_SPECIES
H 1.01 H.upf
N 14.01 N.upf
C 12.01 C.upf
Zn 65.41 Zn.upf
O 16.00 O.upf
CELL_PARAMETERS angstrom
5.2037 0.0000 0.0000
0.0000 6.9508 0.0000
0.0000 3.5589 8.6463
ATOMIC_POSITIONS angstrom
H 0.1833 5.5914 2.6334
H 2.2561 2.3319 0.9201
H 0.3041 3.8156 0.8121
H 2.0440 0.7355 0.4864
H 4.8995 5.5951 5.1353
H 4.2795 8.5681 7.8598
H 2.1727 3.8041 2.9712
H 3.1597 2.5150 4.8096
H 5.0204 7.3708 6.9566
H 3.0310 5.5836 7.2943
H 2.9475 4.1113 5.2433
H 0.9242 6.7886 3.5367
N 2.7517 1.4661 0.6738
N 0.0117 6.4064 3.2289
N 3.5098 5.2435 8.1432
N 4.4303 6.0247 4.3342
N 2.4520 3.2456 4.9970
N 1.6938 3.4640 3.8200
N 5.1920 8.1859 7.5521
N 0.7734 4.2453 0.0110
C 0.5521 2.7118 3.6798
C 4.6516 4.4912 8.0030
C 1.9769 4.8912 0.2491
C 3.2268 6.6707 4.5723
Zn 1.0621 2.6939 6.4816
Zn 4.1415 0.9144 2.1584
O 5.1576 0.3737 0.3843
O 5.1661 4.4146 6.8204
O 2.4361 9.2326 7.9659
O 0.0375 2.6352 2.4973
O 2.6235 6.4112 5.6470
O 2.7676 7.4531 3.6427
O 0.0460 2.1531 4.7075
O 2.5802 4.6317 1.3238
! ΔH_f (0 K): -0.776 eV per atom
! uncorrected energy: -6.097 eV per atom
! crystal system: monoclinic
! space group: Pc (7)


# 5
! ZnH10C4N4O6, relaxed, DFT GGA-PBE; values from VASP
&SYSTEM
  ibrav = 0, nat = 200, ntyp = 5
/
ATOMIC_SPECIES
O 16.00 O.upf
H 1.01 H.upf
N 14.01 N.upf
Zn 65.41 Zn.upf
C 12.01 C.upf
CELL_PARAMETERS angstrom
8.5576 8.6210 0.0000
-8.5576 8.6210 0.0000
0.0000 8.3312 13.0684
ATOMIC_POSITIONS angstrom
O 4.5378 9.2366 2.0659
O -4.5378 13.4022 8.6001
O 6.2367 16.3372 13.0413
O -2.0634 20.5758 12.5063
O 2.0634 16.4101 5.9722
O 4.9643 19.0115 12.5125
O -0.6485 15.1592 6.5414
O 4.5378 12.1711 4.4683
O -2.0634 9.1631 7.0962
O -1.9460 11.9240 12.5134
O 2.2261 9.4402 0.3510
O -0.8129 15.0177 0.3418
O -0.1880 3.6293 1.9812
O -3.5843 10.8222 7.0875
O -2.2261 16.1331 12.7174
O 0.6541 12.8117 10.9999
O 6.2367 13.4017 6.5613
O 0.6485 10.9936 0.0072
O -4.5378 16.3367 11.0025
O -4.9643 14.8459 5.9783
O 3.6472 16.6665 11.0721
O 0.1880 7.7950 8.5154
O 3.5843 6.6566 0.5533
O -0.6541 8.6460 4.4657
O -6.2367 12.1716 6.5071
O 2.2261 11.9675 6.1832
O 2.0634 4.9975 0.5620
O 0.8129 19.1833 6.8759
O -0.6485 14.5797 13.0611
O -1.9460 17.8149 7.0892
O -0.1880 17.7783 4.5530
O -3.6472 12.5009 4.5379
O -4.9643 6.5618 0.5559
O 3.5843 14.7511 5.9808
O 0.6541 16.9272 8.6027
O 0.6485 10.4141 6.5270
O -3.5843 18.9167 12.5150
O -0.8129 6.3900 6.1924
O -0.6541 12.7616 2.0685
O 0.8129 10.5556 12.7266
O 0.1880 21.9439 11.0872
O -6.2367 9.2361 0.0271
O -3.6472 8.9068 1.9962
O 4.9643 10.7274 7.0900
O 1.9460 7.7584 5.9792
O 1.9460 13.6493 0.5550
O -2.2261 13.6058 6.8851
O 3.6472 13.0724 8.5304
H 4.3163 14.6733 4.1963
H 8.1852 10.1898 2.2569
H -4.5955 14.4295 10.8988
H -1.6638 12.2428 4.3104
H -2.6242 5.9699 0.4468
H -6.1751 12.6402 4.2924
H -1.8176 13.3674 9.0323
H 4.5795 12.6879 1.3294
H 0.1272 16.2053 11.6599
H 6.8726 10.2784 0.0335
H -1.6972 10.3879 0.1890
H 1.6972 15.1854 12.8793
H -4.5795 16.8535 7.8636
H 6.1751 16.8058 10.8266
H 5.9430 15.3524 7.0925
H -6.8726 15.2949 13.0349
H -2.6242 15.4378 6.0873
H 2.6242 10.1355 6.9810
H -8.1852 14.3554 8.7911
H -2.6502 8.7532 4.3073
H -5.9430 11.1868 0.5583
H -0.6052 6.0975 3.9983
H 0.6822 21.4537 7.9766
H -4.5955 15.3094 8.7038
H -4.1973 8.5605 5.1167
H 2.6502 16.8201 8.7610
H 4.5955 10.2639 4.3646
H 1.6638 13.3305 8.7579
H -0.6822 17.2880 1.4424
H 0.6822 8.2853 11.6260
H -8.1852 15.3835 10.8115
H 4.3163 6.7344 2.3379
H -1.8176 16.3715 10.5702
H -0.3933 15.2601 4.2780
H -2.4273 8.3603 9.0665
H -4.3163 10.9000 8.8720
H 0.3933 10.3132 8.7904
H -6.8726 14.4440 6.5676
H 1.8176 12.2059 4.0360
H -1.6972 11.0198 6.3451
H -4.1973 12.8471 1.4175
H -0.3933 6.1476 2.2562
H -0.1272 9.3680 1.4085
H -0.6822 4.1196 5.0918
H -1.6638 9.1649 2.2237
H 2.4273 4.1946 2.5324
H -4.2020 6.0147 2.4323
H -2.6502 12.6545 2.2269
H 0.1272 13.5336 7.9427
H 4.5795 8.7198 5.2047
H 1.8888 12.6109 2.3174
H 4.1973 12.7262 11.6509
H 4.2020 19.5586 10.6360
H -4.2020 15.3930 4.1019
H 0.3933 19.4257 10.8122
H -4.5795 12.8854 11.7389
H 0.6052 19.4758 9.0701
H 1.8888 8.7968 4.2168
H 5.9430 14.3865 12.5100
H -1.8888 12.9624 10.7510
H 1.8176 9.2018 2.4982
H -0.6052 15.3101 2.5359
H 2.6502 12.9188 10.8415
H 6.8726 11.1292 6.5007
H -5.9430 10.2209 5.9759
H 4.5955 11.1438 2.1696
H 4.1973 17.0127 7.9517
H 2.6242 19.6034 12.6215
H -0.1272 12.0397 5.1257
H 2.4273 17.2130 4.0018
H 1.6972 14.5535 6.7232
H 8.1852 11.2179 4.2773
H -2.4273 21.3787 10.5360
H 1.6638 16.4084 10.8446
H -4.3163 18.8389 10.7305
H -6.1751 8.7675 2.2418
H 6.1751 12.9331 8.7760
H -1.8888 16.7765 8.8516
H 0.6052 10.2631 10.5325
H 4.2020 10.1803 8.9665
N -5.6528 8.7050 3.1082
N 0.6440 13.2469 8.7702
N 0.4014 19.9512 9.9487
N -0.4199 3.6186 4.2443
N 1.3499 12.4154 3.1578
N -0.6440 9.0813 2.2360
N 0.4199 21.9547 8.8241
N 4.5160 14.1729 3.3289
N -0.6440 12.3263 4.2981
N -0.4014 15.7855 3.4145
N 4.6136 12.1694 2.2000
N -4.6136 13.4039 10.8683
N -0.4014 5.6221 3.1197
N -0.4199 17.7890 2.2899
N 0.6440 16.4920 10.8323
N 3.6719 16.8289 8.8002
N -3.6719 8.7444 4.2682
N 0.4014 9.7877 9.6539
N -4.5160 18.3385 9.8631
N 5.6528 12.8706 9.6424
N -3.6719 12.6632 2.2660
N -4.5160 11.4004 9.7395
N 5.6528 16.8683 9.9602
N 4.5160 7.2348 3.2053
N 0.4199 7.7842 10.7785
N -1.3499 13.1579 9.9105
N -5.6528 12.7027 3.4260
N -4.6136 16.3350 8.7342
N 3.6719 12.9100 10.8024
N 1.3499 8.9923 3.3763
N -1.3499 16.5810 9.6920
N 4.6136 9.2383 4.3341
Zn 4.2083 12.7224 6.5001
Zn -0.0759 8.3825 6.4915
Zn -4.2083 16.8880 13.0343
Zn 0.0759 17.1907 6.5769
Zn -4.2083 12.8509 6.5682
Zn 4.2083 8.6853 0.0340
Zn 0.0759 12.5482 13.0257
Zn -0.0759 13.0251 0.0427
C -0.3489 17.1330 3.4635
C -6.6222 10.9612 6.4376
C 0.3489 21.2986 9.9977
C 2.3878 6.5830 6.1874
C 4.5513 12.8286 3.3717
C -0.0023 16.6653 9.6631
C 4.5513 8.5791 3.1625
C 4.3092 12.9558 9.6138
C -6.6222 10.4465 0.0966
C -0.3489 4.2747 3.0707
C 0.0023 8.9080 3.4053
C -4.5513 16.9942 9.9059
C 1.8544 10.8182 6.5786
C 2.3878 14.8247 0.3468
C 2.4300 15.2206 6.2417
C -4.5513 12.7447 9.6967
C -0.0023 13.0736 9.9395
C 0.0023 12.4997 3.1289
C 0.3489 8.4403 9.6049
C -2.3878 10.7486 12.7216
C -4.3092 8.7902 3.0796
C 4.3092 16.7831 9.9888
C 6.6222 14.6121 6.6307
C -1.8544 6.6526 0.0444
C 1.8544 18.9207 13.0240
C 2.4300 6.1871 0.2925
C -4.3092 12.6175 3.4546
C -1.8544 14.7551 6.4898
C -2.4300 10.3527 6.8267
C -2.3878 18.9903 6.8809
C 6.6222 15.1268 12.9718
C -2.4300 19.3862 12.7759
! ΔH_f (0 K): -0.867 eV per atom
! uncorrected energy: -6.108 eV per atom
! crystal system: monoclinic
! space group: C2/c (15)